(1)
The following is a DFT calculation (PBE with a Hubbard U) of KFe2F6 after structural relaxation.

Computed properties:
E, eV per atom: -5.19
Energy of formation, eV/atom: -2.72
Corrected total energy (MP2020 scheme), eV/f.u.: -54.0
M_tot, μB per formula unit: 9.0

a b c (Å): 12.8095 12.8095 4.0267
angles (deg): 90.00 90.00 90.00
Element x y z (fractional)
K 0.0000 0.0000 0.0000
K 0.1714 0.3277 0.0000
K 0.3277 0.8286 0.0000
K 0.6723 0.1714 0.0000
K 0.8286 0.6723 0.0000
Fe 0.0000 0.5000 0.5000
Fe 0.0762 0.7858 0.5000
Fe 0.2142 0.0762 0.5000
Fe 0.2935 0.5731 0.5000
Fe 0.4269 0.2935 0.5000
Fe 0.5000 0.0000 0.5000
Fe 0.5731 0.7065 0.5000
Fe 0.7065 0.4269 0.5000
Fe 0.7858 0.9238 0.5000
Fe 0.9238 0.2142 0.5000
F 0.0000 0.5000 0.0000
F 0.0105 0.3440 0.5000
F 0.0711 0.1415 0.5000
F 0.0785 0.7912 0.0000
F 0.1415 0.9289 0.5000
F 0.1580 0.4959 0.5000
F 0.2088 0.0785 0.0000
F 0.2255 0.7150 0.5000
F 0.2850 0.2255 0.5000
F 0.2901 0.5766 0.0000
F 0.3440 0.9895 0.5000
F 0.3553 0.4304 0.5000
F 0.4234 0.2901 0.0000
F 0.4304 0.6447 0.5000
F 0.4959 0.8420 0.5000
F 0.5000 0.0000 0.0000
F 0.5041 0.1580 0.5000
F 0.5696 0.3553 0.5000
F 0.5766 0.7099 0.0000
F 0.6447 0.5696 0.5000
F 0.6560 0.0105 0.5000
F 0.7099 0.4234 0.0000
F 0.7150 0.7745 0.5000
F 0.7745 0.2850 0.5000
F 0.7912 0.9215 0.0000
F 0.8420 0.5041 0.5000
F 0.8585 0.0711 0.5000
F 0.9215 0.2088 0.0000
F 0.9289 0.8585 0.5000
F 0.9895 0.6560 0.5000

=====

(2)
The following is a DFT calculation (PBE with a Hubbard U) of V4As2O13 after structural relaxation.

Computed properties:
E, eV per atom: -7.11
Energy of formation, eV/atom: -2.15
Corrected total energy (MP2020 scheme), eV/f.u.: -150.8

a b c (Å): 5.0592 5.0684 8.9628
angles (deg): 89.71 79.67 80.32
Element x y z (fractional)
V 0.0000 0.0000 0.0000
V 0.1269 0.2933 0.3574
V 0.2904 0.4941 0.7436
V 0.4597 0.7231 0.4189
As 0.5526 0.5443 0.0593
As 0.7935 0.9738 0.6466
O 0.0241 0.9733 0.4789
O 0.0869 0.1117 0.1586
O 0.1485 0.2572 0.8466
O 0.2531 0.4665 0.5290
O 0.3434 0.5569 0.2398
O 0.3543 0.6999 0.9327
O 0.4740 0.0313 0.3382
O 0.5269 0.8091 0.6245
O 0.6396 0.2125 0.0117
O 0.6675 0.2966 0.7015
O 0.8071 0.4909 0.3775
O 0.8195 0.6944 0.0772
O 0.9669 0.8098 0.7800

=====

(3)
The following is a DFT calculation (PBE with a Hubbard U) of Li2FeF4 after structural relaxation.

Computed properties:
E, eV per atom: -5.11
Energy of formation, eV/atom: -2.85
Corrected total energy (MP2020 scheme), eV/f.u.: -39.9
Relative energy among the computed polymorphs, eV/f.u.: 0.34
M_tot, μB per formula unit: 4.0

a b c (Å): 7.0562 8.8187 10.5542
angles (deg): 90.00 90.77 90.00
Element x y z (fractional)
Li 0.1771 0.0584 0.1493
Li 0.1771 0.4416 0.6493
Li 0.2552 0.5633 0.3664
Li 0.2552 0.9367 0.8664
Li 0.2618 0.1109 0.6283
Li 0.2618 0.3891 0.1283
Li 0.2925 0.5827 0.8883
Li 0.2925 0.9173 0.3883
Li 0.7075 0.0827 0.6117
Li 0.7075 0.4173 0.1117
Li 0.7382 0.6109 0.8717
Li 0.7382 0.8891 0.3717
Li 0.7448 0.0633 0.1336
Li 0.7448 0.4367 0.6336
Li 0.8229 0.5584 0.3507
Li 0.8229 0.9416 0.8507
Fe 0.0194 0.7454 0.1131
Fe 0.0194 0.7546 0.6131
Fe 0.4739 0.7487 0.1315
Fe 0.4739 0.7513 0.6315
Fe 0.5261 0.2487 0.3685
Fe 0.5261 0.2513 0.8685
Fe 0.9806 0.2454 0.3869
Fe 0.9806 0.2546 0.8869
F 0.0466 0.0559 0.8101
F 0.0466 0.4441 0.3101
F 0.1137 0.2301 0.0597
F 0.1137 0.2699 0.5597
F 0.1800 0.5747 0.0551
F 0.1800 0.9253 0.5551
F 0.2528 0.1255 0.3164
F 0.2528 0.3745 0.8164
F 0.2580 0.7449 0.2684
F 0.2580 0.7551 0.7684
F 0.2630 0.6046 0.5429
F 0.2630 0.8954 0.0429
F 0.4197 0.0704 0.7791
F 0.4197 0.4296 0.2791
F 0.4823 0.1615 0.5350
F 0.4823 0.3385 0.0350
F 0.5177 0.6615 0.9650
F 0.5177 0.8385 0.4650
F 0.5803 0.5704 0.7209
F 0.5803 0.9296 0.2209
F 0.7370 0.1046 0.9571
F 0.7370 0.3954 0.4571
F 0.7420 0.2449 0.2316
F 0.7420 0.2551 0.7316
F 0.7472 0.6255 0.1836
F 0.7472 0.8745 0.6836
F 0.8200 0.0747 0.4449
F 0.8200 0.4253 0.9449
F 0.8863 0.7301 0.4403
F 0.8863 0.7699 0.9403
F 0.9534 0.5559 0.6899
F 0.9534 0.9441 0.1899

=====

(4)
The following is a DFT calculation (PBE with a Hubbard U) of Na4FeO5 after structural relaxation.

Computed properties:
E, eV per atom: -4.74
Energy of formation, eV/atom: -1.46
Corrected total energy (MP2020 scheme), eV/f.u.: -53.1
Relative energy among the computed polymorphs, eV/f.u.: 0.30
M_tot, μB per formula unit: 5.0

a b c (Å): 5.7221 5.7506 8.7142
angles (deg): 108.11 102.93 100.47
Element x y z (fractional)
Na 0.0000 0.0000 0.0000
Na 0.0818 0.2100 0.7070
Na 0.1930 0.4161 0.4042
Na 0.3776 0.7819 0.7943
Na 0.4859 0.0000 0.4994
Na 0.5841 0.2050 0.2048
Na 0.6981 0.4252 0.9022
Na 0.8903 0.7852 0.2957
Fe 0.3206 0.6069 0.1284
Fe 0.7794 0.6091 0.5905
O 0.0214 0.4296 0.1351
O 0.0638 0.7802 0.5579
O 0.2450 0.9070 0.2204
O 0.3460 0.3043 0.9873
O 0.5013 0.4252 0.6272
O 0.5655 0.6078 0.3770
O 0.5710 0.7774 0.0688
O 0.7362 0.9106 0.7174
O 0.8345 0.3045 0.4836
O 0.9779 0.6122 0.7923

=====

(5)
The following is a DFT calculation (PBE with a Hubbard U) of Sr2VMoO6 after structural relaxation.

Computed properties:
E, eV per atom: -7.14
Energy of formation, eV/atom: -2.74
Corrected total energy (MP2020 scheme), eV/f.u.: -80.4
Relative energy among the computed polymorphs, eV/f.u.: 0.16
M_tot, μB per formula unit: 0.0

a b c (Å): 5.6603 5.6603 8.0066
angles (deg): 90.00 90.00 90.00
Element x y z (fractional)
Sr 0.0000 0.5000 0.2498
Sr 0.0000 0.5000 0.7502
Sr 0.5000 0.0000 0.2498
Sr 0.5000 0.0000 0.7502
V 0.0000 0.0000 0.0000
V 0.0000 0.0000 0.5000
Mo 0.5000 0.5000 0.0000
Mo 0.5000 0.5000 0.5000
O 0.0000 0.0000 0.2395
O 0.0000 0.0000 0.7605
O 0.2394 0.2394 0.0000
O 0.2394 0.7606 0.0000
O 0.2485 0.2485 0.5000
O 0.2485 0.7515 0.5000
O 0.5000 0.5000 0.2583
O 0.5000 0.5000 0.7417
O 0.7515 0.2485 0.5000
O 0.7515 0.7515 0.5000
O 0.7606 0.2394 0.0000
O 0.7606 0.7606 0.0000

=====

(6)
The following is a DFT calculation (PBE with a Hubbard U) of Li2Ti2VO6 after structural relaxation.

Computed properties:
E, eV per atom: -7.69
Energy of formation, eV/atom: -2.91
Corrected total energy (MP2020 scheme), eV/f.u.: -90.4
Relative energy among the computed polymorphs, eV/f.u.: 0.15
M_tot, μB per formula unit: 0.0

a b c (Å): 5.1470 9.0212 11.6352
angles (deg): 67.19 102.78 90.00
Element x y z (fractional)
Li 0.4626 0.8750 0.7500
Li 0.9626 0.3750 0.7500
Li 0.5374 0.6250 0.2500
Li 0.9626 0.8750 0.7500
Li 0.4626 0.3750 0.7500
Li 0.0374 0.1250 0.2500
Li 0.0374 0.6250 0.2500
Li 0.5374 0.1250 0.2500
O 0.2689 0.3716 0.8929
O 0.8740 0.9855 0.3928
O 0.3036 0.0506 0.8988
O 0.1548 0.6994 0.6012
O 0.8036 0.5506 0.8988
O 0.7689 0.2355 0.8929
O 0.1260 0.3784 0.6071
O 0.7311 0.6284 0.1072
O 0.7689 0.8716 0.8929
O 0.6260 0.8784 0.6071
O 0.2689 0.7355 0.8929
O 0.6260 0.5145 0.6071
O 0.6548 0.1994 0.6012
O 0.1964 0.4494 0.1012
O 0.3740 0.4855 0.3928
O 0.8740 0.6217 0.3928
O 0.3740 0.1216 0.3928
O 0.7311 0.2645 0.1072
O 0.3452 0.8006 0.3987
O 0.2311 0.1283 0.1072
O 0.8452 0.3006 0.3988
O 0.2311 0.7645 0.1072
O 0.1260 0.0145 0.6071
O 0.6964 0.9494 0.1013
Ti 0.2500 0.5893 0.5000
Ti 0.0000 0.3393 0.0000
Ti 0.5000 0.1607 0.0000
Ti 0.5000 0.8393 0.0000
Ti 0.0000 0.6607 0.0000
Ti 0.2500 0.9107 0.5000
Ti 0.7500 0.4107 0.5000
Ti 0.7500 0.0893 0.5000
V 0.7500 0.7500 0.5000
V 0.0000 0.0000 0.0000
V 0.2500 0.2500 0.5000
V 0.5000 0.5000 0.0000

=====

(7)
The following is a DFT calculation (PBE with a Hubbard U) of Li9Ni2O8 after structural relaxation.

Computed properties:
E, eV per atom: -4.74
Energy of formation, eV/atom: -1.70
Corrected total energy (MP2020 scheme), eV/f.u.: -100.7
M_tot, μB per formula unit: 7.0

a b c (Å): 9.1395 9.4090 9.1382
angles (deg): 90.00 90.00 90.00
Element x y z (fractional)
Li 0.1112 0.1421 0.1833
Li 0.1116 0.6335 0.0000
Li 0.1149 0.0893 0.7311
Li 0.1169 0.8620 0.4758
Li 0.1192 0.8979 0.9383
Li 0.1213 0.5885 0.4168
Li 0.1332 0.3554 0.6996
Li 0.1525 0.8695 0.2073
Li 0.1539 0.3666 0.9780
Li 0.3461 0.3666 0.4780
Li 0.3475 0.8695 0.7073
Li 0.3668 0.3554 0.1996
Li 0.3787 0.5885 0.9168
Li 0.3808 0.8979 0.4383
Li 0.3831 0.8620 0.9758
Li 0.3851 0.0893 0.2311
Li 0.3884 0.6335 0.5000
Li 0.3888 0.1421 0.6833
Li 0.6112 0.8579 0.1833
Li 0.6116 0.3665 0.0000
Li 0.6149 0.9107 0.7311
Li 0.6169 0.1380 0.4758
Li 0.6192 0.1021 0.9383
Li 0.6213 0.4115 0.4168
Li 0.6332 0.6446 0.6996
Li 0.6525 0.1305 0.2073
Li 0.6539 0.6334 0.9780
Li 0.8461 0.6334 0.4780
Li 0.8475 0.1305 0.7073
Li 0.8668 0.6446 0.1996
Li 0.8787 0.4115 0.9168
Li 0.8808 0.1021 0.4383
Li 0.8831 0.1380 0.9758
Li 0.8851 0.9107 0.2311
Li 0.8884 0.3665 0.5000
Li 0.8888 0.8579 0.6833
Ni 0.1293 0.6281 0.7133
Ni 0.1497 0.1302 0.4578
Ni 0.3503 0.1302 0.9578
Ni 0.3707 0.6281 0.2133
Ni 0.6293 0.3719 0.7133
Ni 0.6497 0.8698 0.4578
Ni 0.8503 0.8698 0.9578
Ni 0.8707 0.3719 0.2133
O 0.0116 0.2142 0.5825
O 0.0160 0.7220 0.5823
O 0.0396 0.0053 0.3374
O 0.0588 0.4981 0.8425
O 0.2279 0.5117 0.5872
O 0.2349 0.7446 0.8400
O 0.2400 0.2294 0.8321
O 0.2498 0.0031 0.0762
O 0.2502 0.0031 0.5762
O 0.2600 0.2294 0.3321
O 0.2651 0.7446 0.3400
O 0.2721 0.5117 0.0872
O 0.4412 0.4981 0.3425
O 0.4604 0.0053 0.8374
O 0.4840 0.7220 0.0823
O 0.4884 0.2142 0.0825
O 0.5116 0.7858 0.5825
O 0.5160 0.2780 0.5823
O 0.5396 0.9947 0.3374
O 0.5588 0.5019 0.8425
O 0.7279 0.4883 0.5872
O 0.7349 0.2554 0.8400
O 0.7400 0.7706 0.8321
O 0.7498 0.9969 0.0762
O 0.7502 0.9969 0.5762
O 0.7600 0.7706 0.3321
O 0.7651 0.2554 0.3400
O 0.7721 0.4883 0.0872
O 0.9412 0.5019 0.3425
O 0.9604 0.9947 0.8374
O 0.9840 0.2780 0.0823
O 0.9884 0.7858 0.0825

=====

(8)
The following is a DFT calculation (PBE with a Hubbard U) of Li9Mn7O16 after structural relaxation.

Computed properties:
E, eV per atom: -6.44
Energy of formation, eV/atom: -2.13
Corrected total energy (MP2020 scheme), eV/f.u.: -228.8
Relative energy among the computed polymorphs, eV/f.u.: 0.31
M_tot, μB per formula unit: 26.0

a b c (Å): 6.0100 6.0755 8.7090
angles (deg): 70.53 88.10 85.75
Element x y z (fractional)
Li 0.0000 0.0000 0.0000
Li 0.0000 0.5000 0.0000
Li 0.2544 0.3810 0.7540
Li 0.2558 0.8640 0.7596
Li 0.4976 0.2511 0.4970
Li 0.5000 0.5000 0.0000
Li 0.5024 0.7489 0.5030
Li 0.7442 0.1360 0.2404
Li 0.7456 0.6190 0.2460
Mn 0.0021 0.7497 0.5026
Mn 0.2570 0.1357 0.2466
Mn 0.2571 0.6283 0.2480
Mn 0.5000 0.0000 0.0000
Mn 0.7429 0.3717 0.7520
Mn 0.7430 0.8643 0.7534
Mn 0.9979 0.2503 0.4974
O 0.0027 0.3610 0.2551
O 0.0230 0.8699 0.2617
O 0.2419 0.0250 0.4850
O 0.2415 0.5198 0.4912
O 0.2593 0.2303 0.0114
O 0.2767 0.7730 0.0130
O 0.4752 0.3787 0.2505
O 0.4984 0.1001 0.7637
O 0.5016 0.8999 0.2363
O 0.5248 0.6213 0.7495
O 0.7233 0.2270 0.9870
O 0.7407 0.7697 0.9886
O 0.7585 0.4802 0.5088
O 0.7581 0.9750 0.5150
O 0.9770 0.1301 0.7383
O 0.9973 0.6390 0.7449

=====

(9)
The following is a DFT calculation (PBE with a Hubbard U) of SrMg30NiO32 after structural relaxation.

Computed properties:
E, eV per atom: -5.91
Energy of formation, eV/atom: -2.96
Corrected total energy (MP2020 scheme), eV/f.u.: -403.1
M_tot, μB per formula unit: 2.0

a b c (Å): 8.5979 8.5979 8.5874
angles (deg): 90.00 90.00 90.00
Element x y z (fractional)
Sr 0.0000 0.0000 0.0000
Mg 0.0000 0.2547 0.2554
Mg 0.0000 0.2547 0.7446
Mg 0.0000 0.5000 0.0000
Mg 0.0000 0.5000 0.5000
Mg 0.0000 0.7453 0.2554
Mg 0.0000 0.7453 0.7446
Mg 0.2496 0.2496 0.5000
Mg 0.2502 0.5000 0.2506
Mg 0.2502 0.5000 0.7494
Mg 0.2496 0.7504 0.5000
Mg 0.2547 0.0000 0.2554
Mg 0.2547 0.0000 0.7446
Mg 0.2549 0.2549 0.0000
Mg 0.2549 0.7451 0.0000
Mg 0.5000 0.0000 0.0000
Mg 0.5000 0.0000 0.5000
Mg 0.5000 0.2502 0.2506
Mg 0.5000 0.2502 0.7494
Mg 0.5000 0.5000 0.0000
Mg 0.5000 0.5000 0.5000
Mg 0.5000 0.7498 0.2506
Mg 0.5000 0.7498 0.7494
Mg 0.7453 0.0000 0.2554
Mg 0.7453 0.0000 0.7446
Mg 0.7451 0.2549 0.0000
Mg 0.7451 0.7451 0.0000
Mg 0.7504 0.2496 0.5000
Mg 0.7498 0.5000 0.2506
Mg 0.7498 0.5000 0.7494
Mg 0.7504 0.7504 0.5000
Ni 0.0000 0.0000 0.5000
O 0.0000 0.0000 0.2696
O 0.0000 0.0000 0.7304
O 0.0000 0.2548 0.5000
O 0.0000 0.2699 0.0000
O 0.0000 0.5000 0.2537
O 0.0000 0.5000 0.7463
O 0.0000 0.7301 0.0000
O 0.0000 0.7452 0.5000
O 0.2493 0.2493 0.2498
O 0.2493 0.2493 0.7502
O 0.2493 0.7507 0.2498
O 0.2493 0.7507 0.7502
O 0.2506 0.5000 0.5000
O 0.2536 0.5000 0.0000
O 0.2548 0.0000 0.5000
O 0.2699 0.0000 0.0000
O 0.5000 0.0000 0.2537
O 0.5000 0.0000 0.7463
O 0.5000 0.2506 0.5000
O 0.5000 0.2536 0.0000
O 0.5000 0.5000 0.2508
O 0.5000 0.5000 0.7492
O 0.5000 0.7464 0.0000
O 0.5000 0.7494 0.5000
O 0.7301 0.0000 0.0000
O 0.7452 0.0000 0.5000
O 0.7464 0.5000 0.0000
O 0.7494 0.5000 0.5000
O 0.7507 0.2493 0.2498
O 0.7507 0.2493 0.7502
O 0.7507 0.7507 0.2498
O 0.7507 0.7507 0.7502

=====

Copy entry 8 word for word.
The following is a DFT calculation (PBE with a Hubbard U) of Li9Mn7O16 after structural relaxation.

Computed properties:
E, eV per atom: -6.44
Energy of formation, eV/atom: -2.13
Corrected total energy (MP2020 scheme), eV/f.u.: -228.8
Relative energy among the computed polymorphs, eV/f.u.: 0.31
M_tot, μB per formula unit: 26.0

a b c (Å): 6.0100 6.0755 8.7090
angles (deg): 70.53 88.10 85.75
Element x y z (fractional)
Li 0.0000 0.0000 0.0000
Li 0.0000 0.5000 0.0000
Li 0.2544 0.3810 0.7540
Li 0.2558 0.8640 0.7596
Li 0.4976 0.2511 0.4970
Li 0.5000 0.5000 0.0000
Li 0.5024 0.7489 0.5030
Li 0.7442 0.1360 0.2404
Li 0.7456 0.6190 0.2460
Mn 0.0021 0.7497 0.5026
Mn 0.2570 0.1357 0.2466
Mn 0.2571 0.6283 0.2480
Mn 0.5000 0.0000 0.0000
Mn 0.7429 0.3717 0.7520
Mn 0.7430 0.8643 0.7534
Mn 0.9979 0.2503 0.4974
O 0.0027 0.3610 0.2551
O 0.0230 0.8699 0.2617
O 0.2419 0.0250 0.4850
O 0.2415 0.5198 0.4912
O 0.2593 0.2303 0.0114
O 0.2767 0.7730 0.0130
O 0.4752 0.3787 0.2505
O 0.4984 0.1001 0.7637
O 0.5016 0.8999 0.2363
O 0.5248 0.6213 0.7495
O 0.7233 0.2270 0.9870
O 0.7407 0.7697 0.9886
O 0.7585 0.4802 0.5088
O 0.7581 0.9750 0.5150
O 0.9770 0.1301 0.7383
O 0.9973 0.6390 0.7449